## one
A plane-wave DFT calculation with PBE+U was carried out for an optimized crystal structure of Na3Li3Fe2P2C2O14.

Cell and atoms, written as POSCAR:
```
Na3Li3Fe2P2C2O14
1.0
6.7127 0.0000 0.0000
-0.0127 8.7223 0.0000
-0.1031 -0.4254 10.1614
Na Li Fe P C O
6 6 4 4 4 28
Direct
0.0000 0.0000 0.0000
0.0008 0.4841 0.7558
0.4963 0.0038 0.4991
0.4993 0.0017 0.0050
0.7559 0.8308 0.2494
0.9986 0.4901 0.2519
0.2590 0.6449 0.5068
0.2656 0.6418 0.0038
0.4716 0.4646 0.2453
0.4819 0.4676 0.7530
0.7389 0.8373 0.7466
0.9628 0.0339 0.5167
0.2430 0.1027 0.2456
0.2480 0.0920 0.7366
0.7411 0.3916 0.0166
0.7410 0.4056 0.5195
0.2454 0.3393 0.4864
0.2518 0.3358 0.9861
0.7425 0.1545 0.7706
0.7453 0.1640 0.2766
0.2590 0.7880 0.2631
0.2612 0.7853 0.7648
0.7438 0.6827 0.9763
0.7616 0.7060 0.4977
0.0609 0.4325 0.0121
0.0606 0.4414 0.5175
0.2268 0.1767 0.5425
0.2437 0.9030 0.3494
0.2453 0.8977 0.8538
0.2483 0.1795 0.0523
0.2525 0.8136 0.1386
0.2604 0.8174 0.6414
0.2700 0.3200 0.3337
0.2761 0.6459 0.8036
0.2782 0.3077 0.8341
0.2789 0.6502 0.3062
0.4254 0.4334 0.5453
0.4252 0.4395 0.0422
0.5620 0.0481 0.7329
0.5617 0.0605 0.2417
0.7246 0.5771 0.8822
0.7260 0.3242 0.2167
0.7283 0.3132 0.7092
0.7437 0.6061 0.3982
0.7479 0.8261 0.9483
0.7523 0.1785 0.9237
0.7552 0.6566 0.6163
0.7581 0.6388 0.0964
0.7653 0.1869 0.4299
0.7823 0.8505 0.4769
0.9290 0.0621 0.7220
0.9296 0.0741 0.2243
```

Results
**V**: 11.4 A^3/atom
**Size of the total moment**: 8.000 μB/f.u.

=====

## two
A plane-wave DFT calculation with PBE+U was carried out for an optimized crystal structure of Na3Li3Fe2P2C2O14.

Cell and atoms, written as POSCAR:
```
Na3Li3Fe2P2C2O14
1.0
6.6308 0.0000 0.0000
-0.0928 8.7516 0.0000
-0.0845 -0.2851 10.1968
Na Li Fe P C O
6 6 4 4 4 28
Direct
0.0000 0.0000 0.0000
0.0014 0.4872 0.7515
0.0007 0.9988 0.4987
0.4942 0.4888 0.2489
0.7409 0.6597 0.0027
0.7513 0.6596 0.5026
0.2560 0.8411 0.2499
0.2791 0.8363 0.7510
0.4774 0.0200 0.0116
0.4786 0.0186 0.5080
0.5264 0.4643 0.7334
0.9706 0.4627 0.2346
0.2463 0.3901 0.0132
0.2506 0.3902 0.5136
0.7417 0.0928 0.2339
0.7455 0.0926 0.7320
0.2452 0.1531 0.2717
0.2582 0.1548 0.7710
0.7368 0.3277 0.9772
0.7484 0.3273 0.4767
0.2582 0.7008 0.4888
0.2604 0.7015 0.9892
0.7378 0.7943 0.7594
0.7570 0.7946 0.2592
0.0573 0.0495 0.2415
0.0586 0.0687 0.7349
0.2234 0.3136 0.2121
0.2448 0.5914 0.9002
0.2468 0.6694 0.6125
0.2497 0.5898 0.4004
0.2580 0.6687 0.1127
0.2717 0.3159 0.7114
0.2753 0.1722 0.4232
0.2773 0.1721 0.9235
0.2769 0.8402 0.4501
0.2774 0.8412 0.9511
0.4242 0.0604 0.2123
0.4282 0.0482 0.7172
0.5572 0.4267 0.0251
0.5668 0.4292 0.5185
0.7203 0.6470 0.7653
0.7290 0.1656 0.5325
0.7307 0.1661 0.0342
0.7319 0.3140 0.8239
0.7379 0.8802 0.3646
0.7422 0.8804 0.8652
0.7494 0.8604 0.1460
0.7514 0.8597 0.6464
0.7592 0.3125 0.3232
0.7812 0.6484 0.2658
0.9301 0.4182 0.0241
0.9388 0.4147 0.5291
```

Results
**V**: 11.4 A^3/atom
**Size of the total moment**: 8.000 μB/f.u.

=====

The computed energies, referenced to the most stable structure and given in kJ/mol of atoms, are one 0.5; two 0.0.

=====

## one
A plane-wave DFT calculation with PBE+U was carried out for an optimized crystal structure of Li4Ti3Fe5O16.

Cell and atoms, written as POSCAR:
```
Li4Ti3Fe5O16
1.0
4.9744 -2.9172 0.0000
4.9744 2.9172 0.0000
-0.1362 0.0000 9.6756
Li Ti Fe O
4 3 5 16
Direct
0.0000 0.0000 0.0000
0.0038 0.0038 0.4974
0.3459 0.3459 0.5960
0.6794 0.6794 0.1015
0.1824 0.1824 0.2720
0.3560 0.8467 0.7751
0.8467 0.3560 0.7751
0.1836 0.6652 0.2818
0.3486 0.3486 0.9968
0.6652 0.1836 0.2818
0.6783 0.6783 0.4908
0.8347 0.8347 0.7829
0.0030 0.0030 0.1874
0.0072 0.0072 0.6850
0.0458 0.4940 0.1591
0.1607 0.6806 0.8894
0.1722 0.1722 0.8956
0.3362 0.8410 0.3928
0.3456 0.3456 0.3889
0.4896 0.4896 0.1650
0.4940 0.0458 0.1591
0.5278 0.5278 0.6618
0.5337 0.9751 0.6550
0.6673 0.6673 0.8968
0.6806 0.1607 0.8894
0.8410 0.3362 0.3928
0.8466 0.8466 0.3822
0.9751 0.5337 0.6550
```

Results
**V**: 10.0 A^3/atom
**Size of the total moment**: 24.000 μB/f.u.

=====

## two
A plane-wave DFT calculation with PBE+U was carried out for an optimized crystal structure of Li4Ti3Fe5O16.

Cell and atoms, written as POSCAR:
```
Li4Ti3Fe5O16
1.0
5.8310 0.0000 0.0000
2.8726 5.1116 0.0000
0.0565 0.0367 9.6077
Li Ti Fe O
4 3 5 16
Direct
0.0000 0.0000 0.0000
0.0034 0.9926 0.5000
0.3291 0.3190 0.1048
0.6591 0.6579 0.5996
0.1613 0.6523 0.7817
0.6534 0.1595 0.7797
0.8161 0.8298 0.2817
0.1647 0.1642 0.7841
0.3183 0.3298 0.5039
0.3364 0.8195 0.2834
0.6535 0.6567 0.0044
0.8261 0.3297 0.2825
0.0012 0.9810 0.1853
0.0305 0.4752 0.6602
0.1535 0.6683 0.3944
0.1638 0.1505 0.3922
0.3188 0.8302 0.8928
0.3322 0.3303 0.8941
0.4747 0.4740 0.6618
0.4768 0.0305 0.6596
0.5075 0.5154 0.1620
0.5179 0.9521 0.1592
0.6615 0.6662 0.3941
0.6706 0.1582 0.3947
0.8309 0.3181 0.8930
0.8309 0.8281 0.8959
0.9557 0.5037 0.1615
0.9954 0.9931 0.6868
```

Results
**V**: 10.2 A^3/atom
**Size of the total moment**: 24.001 μB/f.u.

=====

The computed energies, referenced to the most stable structure and given in kJ/mol of atoms, are one 3.7; two 0.0.

=====

## one
A plane-wave DFT calculation with PBE+U was carried out for an optimized crystal structure of K2MgCo2O4.

Cell and atoms, written as POSCAR:
```
K2MgCo2O4
1.0
6.4953 -1.5801 0.0000
6.4953 1.5801 0.0000
-5.7124 0.0000 6.8397
K Mg Co O
2 1 2 4
Direct
0.0000 0.0000 0.0000
0.1457 0.1457 0.5099
0.8128 0.8128 0.1408
0.3363 0.3363 0.4102
0.5755 0.5755 0.7713
0.1957 0.1957 0.8857
0.4058 0.4058 0.6815
0.4312 0.4312 0.2908
0.7201 0.7201 0.2586
```

Results
**V**: 15.6 A^3/atom
**Size of the total moment**: 6.000 μB/f.u.

=====

## two
A plane-wave DFT calculation with PBE+U was carried out for an optimized crystal structure of K2MgCo2O4.

Cell and atoms, written as POSCAR:
```
K2MgCo2O4
1.0
5.5813 -1.6517 0.0000
5.5813 1.6517 0.0000
-4.6112 0.0000 7.3071
K Mg Co O
2 1 2 4
Direct
0.0000 0.0000 0.0000
0.6663 0.6663 0.7635
0.5187 0.5187 0.3428
0.7913 0.7913 0.2049
0.8540 0.8540 0.5547
0.3201 0.3201 0.0959
0.3961 0.3961 0.7051
0.6729 0.6729 0.3019
0.9925 0.9925 0.4506
```

Results
**V**: 15.0 A^3/atom
**Size of the total moment**: 6.000 μB/f.u.

=====

The computed energies, referenced to the most stable structure and given in kJ/mol of atoms, are one 7.3; two 0.0.

=====

## one
A plane-wave DFT calculation with PBE+U was carried out for an optimized crystal structure of LiVSiO4.

Cell and atoms, written as POSCAR:
```
LiVSiO4
1.0
5.2152 -0.0008 0.0004
-0.0006 9.0265 0.0023
0.0006 0.0015 9.6064
Li O Si V
4 16 4 4
Direct
0.9996 0.9999 0.7312
0.4996 0.4999 0.7312
0.5000 0.5000 0.2312
0.0000 0.0001 0.2311
0.6570 0.3132 0.2022
0.8581 0.4852 0.7026
0.0012 0.3338 0.9289
0.1416 0.5148 0.2026
0.1570 0.8132 0.2022
0.8425 0.1868 0.7028
0.2020 0.1719 0.2020
0.5007 0.1664 0.4289
0.6415 0.0147 0.2025
0.3424 0.6868 0.7028
0.7977 0.8282 0.7017
0.7020 0.6718 0.2020
0.2977 0.3282 0.7017
0.5012 0.8338 0.9289
0.3581 0.9852 0.7026
0.0007 0.6664 0.4289
0.5000 0.1666 0.2597
0.9999 0.3334 0.7598
0.0001 0.6666 0.2598
0.4999 0.8334 0.7598
0.5003 0.8333 0.1226
0.4999 0.1665 0.6226
0.9999 0.6666 0.6226
0.0000 0.3335 0.1225
```

Results
**V**: 16.2 A^3/atom
**Size of the total moment**: 0.000 μB/f.u.

=====

## two
A plane-wave DFT calculation with PBE+U was carried out for an optimized crystal structure of LiVSiO4.

Cell and atoms, written as POSCAR:
```
LiVSiO4
1.0
10.4124 0.0000 0.0000
0.0000 5.0917 0.0000
0.0000 0.0000 6.8214
Li V Si O
4 4 4 16
Direct
0.1561 0.1854 0.0000
0.3439 0.6854 0.5000
0.6561 0.3146 0.0000
0.8439 0.8146 0.5000
0.1586 0.1830 0.4961
0.3414 0.6830 0.9961
0.6586 0.3170 0.4961
0.8414 0.8170 0.9961
0.0933 0.6819 0.7512
0.4067 0.1819 0.2512
0.5933 0.8181 0.7512
0.9067 0.3181 0.2512
0.0602 0.2442 0.2600
0.1169 0.3626 0.7403
0.1612 0.8120 0.5557
0.1662 0.7981 0.9478
0.3338 0.2981 0.4478
0.3388 0.3120 0.0557
0.3831 0.8626 0.2403
0.4398 0.7442 0.7600
0.5602 0.2558 0.2600
0.6169 0.1374 0.7403
0.6612 0.6880 0.5557
0.6662 0.7019 0.9478
0.8338 0.2019 0.4478
0.8388 0.1880 0.0557
0.8831 0.6374 0.2403
0.9398 0.7558 0.7600
```

Results
**V**: 12.9 A^3/atom
**Size of the total moment**: 2.000 μB/f.u.

=====

## three
A plane-wave DFT calculation with PBE+U was carried out for an optimized crystal structure of LiVSiO4.

Cell and atoms, written as POSCAR:
```
LiVSiO4
1.0
5.4989 0.0000 0.0000
0.0000 8.2837 0.0000
0.0000 0.0000 18.7960
Li V Si O
12 12 12 48
Direct
0.0000 0.1699 0.2500
0.0000 0.8301 0.7500
0.0258 0.1751 0.5831
0.0258 0.8249 0.0831
0.4742 0.3249 0.0831
0.4742 0.6751 0.5831
0.5000 0.3301 0.7500
0.5000 0.6699 0.2500
0.5258 0.3249 0.4169
0.5258 0.6751 0.9169
0.9742 0.1751 0.9169
0.9742 0.8249 0.4169
0.0000 0.5000 0.0000
0.0000 0.5000 0.5000
0.0009 0.4991 0.3332
0.0009 0.5009 0.8332
0.4991 0.0009 0.8332
0.4991 0.9991 0.3332
0.5000 0.0000 0.0000
0.5000 0.0000 0.5000
0.5009 0.0009 0.6668
0.5009 0.9991 0.1668
0.9991 0.4991 0.1668
0.9991 0.5009 0.6668
0.0000 0.1522 0.7500
0.0000 0.8478 0.2500
0.0033 0.1509 0.4166
0.0033 0.8491 0.9166
0.4967 0.3491 0.9166
0.4967 0.6509 0.4166
0.5000 0.3478 0.2500
0.5000 0.6522 0.7500
0.5033 0.3491 0.5834
0.5033 0.6509 0.0834
0.9967 0.1509 0.0834
0.9967 0.8491 0.5834
0.0021 0.2625 0.1548
0.0023 0.2627 0.4878
0.0023 0.2634 0.6786
0.0023 0.7366 0.1786
0.0023 0.7373 0.9878
0.0021 0.7375 0.6548
0.2388 0.0280 0.0833
0.2388 0.0275 0.7500
0.2388 0.9725 0.2500
0.2388 0.9720 0.5833
0.2433 0.0267 0.4166
0.2433 0.9733 0.9166
0.2567 0.4733 0.9166
0.2567 0.5267 0.4166
0.2612 0.4725 0.2500
0.2612 0.4720 0.5833
0.2612 0.5280 0.0833
0.2612 0.5275 0.7500
0.4977 0.2366 0.1786
0.4977 0.2373 0.9878
0.4979 0.2375 0.6548
0.4979 0.7625 0.1548
0.4977 0.7627 0.4878
0.4977 0.7634 0.6786
0.5023 0.2366 0.3214
0.5023 0.2373 0.5122
0.5021 0.2375 0.8452
0.5021 0.7625 0.3452
0.5023 0.7627 0.0122
0.5023 0.7634 0.8214
0.7388 0.4725 0.2500
0.7388 0.4720 0.9167
0.7388 0.5280 0.4167
0.7388 0.5275 0.7500
0.7433 0.4733 0.5834
0.7433 0.5267 0.0834
0.7567 0.0267 0.0834
0.7567 0.9733 0.5834
0.7612 0.0280 0.4167
0.7612 0.0275 0.7500
0.7612 0.9725 0.2500
0.7612 0.9720 0.9167
0.9979 0.2625 0.3452
0.9977 0.2627 0.0122
0.9977 0.2634 0.8214
0.9977 0.7366 0.3214
0.9977 0.7373 0.5122
0.9979 0.7375 0.8452
```

Results
**V**: 10.2 A^3/atom
**Size of the total moment**: 2.000 μB/f.u.

=====

The computed energies, referenced to the most stable structure and given in kJ/mol of atoms, are one 6.8; two 5.5; three 0.0.

=====

## one
A plane-wave DFT calculation with PBE+U was carried out for an optimized crystal structure of MgV4O6F4.

Cell and atoms, written as POSCAR:
```
MgV4O6F4
1.0
4.9113 0.0000 0.0000
-0.2219 5.4304 0.0000
-2.4314 -1.3635 6.4016
Mg V O F
1 4 6 4
Direct
0.0000 0.0000 0.0000
0.1356 0.6645 0.2690
0.3104 0.0680 0.6437
0.6388 0.1474 0.2773
0.8066 0.5726 0.6269
0.0279 0.8770 0.7255
0.3525 0.8425 0.1667
0.4347 0.7369 0.5382
0.5934 0.2540 0.5606
0.8513 0.4951 0.3548
0.9918 0.9874 0.3481
0.1649 0.3873 0.7376
0.2466 0.3210 0.1613
0.6220 0.1181 0.9616
0.8210 0.6367 0.9491
```

Results
**V**: 11.4 A^3/atom
**Size of the total moment**: 6.000 μB/f.u.

=====

## two
A plane-wave DFT calculation with PBE+U was carried out for an optimized crystal structure of MgV4O6F4.

Cell and atoms, written as POSCAR:
```
MgV4O6F4
1.0
5.3649 0.0000 0.0000
-0.8911 5.7885 0.0000
-2.0195 -1.9481 6.1725
Mg V O F
1 4 6 4
Direct
0.0000 0.0000 0.0000
0.2098 0.6323 0.2200
0.3937 0.7976 0.8065
0.6057 0.2012 0.1931
0.7897 0.3662 0.7798
0.0956 0.6453 0.9167
0.3114 0.1011 0.9140
0.4752 0.5105 0.2732
0.5246 0.4888 0.7273
0.6885 0.8980 0.0857
0.9052 0.3525 0.0830
0.1424 0.7107 0.4929
0.2972 0.9989 0.2807
0.7024 0.9991 0.7189
0.8559 0.2878 0.5067
```

Results
**V**: 12.8 A^3/atom
**Size of the total moment**: 6.000 μB/f.u.

=====

The computed energies, referenced to the most stable structure and given in kJ/mol of atoms, are one 0.0; two 3.0.